Arrangement w

Entry from Materials Project: a relaxed structure of Li2FePCO7 (PBE with a Hubbard U).

The structure in POSCAR format:
```
Li2FePCO7
1.0
0.143 7.389 3.574
-8.491 1.105 3.645
5.254 -0.973 6.312
O Fe Li C P
28 4 8 4 4
direct
0.139 0.909 0.644
0.639 0.909 0.144
0.458 0.300 0.610
0.451 0.821 0.765
0.900 0.574 0.343
0.330 0.682 0.229
0.600 0.426 0.156
0.342 0.539 0.449
0.170 0.318 0.271
0.361 0.091 0.856
0.842 0.539 0.949
0.670 0.318 0.771
0.126 0.926 0.133
0.861 0.091 0.356
0.042 0.700 0.891
0.874 0.074 0.867
0.830 0.682 0.729
0.049 0.179 0.734
0.374 0.074 0.367
0.958 0.300 0.109
0.158 0.461 0.051
0.658 0.461 0.551
0.542 0.700 0.390
0.400 0.575 0.844
0.627 0.926 0.633
0.100 0.426 0.656
0.549 0.179 0.235
0.951 0.821 0.266
0.310 0.331 0.435
0.190 0.669 0.065
0.690 0.669 0.564
0.810 0.330 0.935
0.188 0.101 0.082
0.255 0.728 0.712
0.755 0.728 0.212
0.812 0.899 0.918
0.245 0.272 0.788
0.688 0.102 0.582
0.745 0.272 0.288
0.312 0.899 0.418
0.526 0.048 0.245
0.974 0.952 0.255
0.026 0.048 0.745
0.475 0.952 0.755
0.955 0.581 0.801
0.545 0.419 0.699
0.455 0.581 0.301
0.045 0.418 0.199
```



Arrangement x

Entry from Materials Project: a relaxed structure of Li2FePCO7 (PBE with a Hubbard U).

The structure in POSCAR format:
```
Li2FePCO7
1.0
8.347 0.000 0.000
0.000 6.491 0.000
-0.888 0.000 10.156
Li Fe P C O
8 4 4 4 28
direct
0.098 0.249 0.369
0.098 0.251 0.869
0.278 0.036 0.623
0.278 0.464 0.123
0.722 0.536 0.877
0.722 0.964 0.377
0.902 0.749 0.131
0.902 0.751 0.631
0.329 0.749 0.851
0.329 0.751 0.351
0.671 0.249 0.649
0.671 0.251 0.149
0.420 0.242 0.388
0.420 0.258 0.888
0.580 0.742 0.112
0.580 0.758 0.612
0.040 0.741 0.899
0.040 0.759 0.399
0.960 0.241 0.601
0.960 0.259 0.101
0.076 0.739 0.277
0.076 0.761 0.777
0.102 0.219 0.567
0.102 0.281 0.067
0.164 0.745 0.987
0.164 0.755 0.487
0.305 0.059 0.353
0.305 0.441 0.853
0.317 0.068 0.842
0.317 0.432 0.342
0.421 0.724 0.178
0.421 0.776 0.678
0.462 0.241 0.541
0.462 0.259 0.041
0.538 0.741 0.959
0.538 0.759 0.459
0.579 0.224 0.322
0.579 0.276 0.822
0.683 0.568 0.658
0.683 0.932 0.158
0.695 0.559 0.147
0.695 0.941 0.647
0.836 0.245 0.513
0.836 0.255 0.013
0.898 0.719 0.933
0.898 0.781 0.433
0.924 0.239 0.223
0.924 0.261 0.723
```



Which one sits at the bottom of the stability order? arrangement x does.



Arrangement w

Entry from Materials Project: a relaxed structure of Li7Mn4P8O28 (PBE with a Hubbard U).

The structure in POSCAR format:
```
Li7Mn4P8O28
1.0
9.906 0.000 0.000
-0.060 9.911 0.000
-0.023 -2.487 11.069
Li Mn P O
14 8 16 56
direct
0.000 0.000 0.000
0.013 0.013 0.505
0.170 0.672 0.413
0.183 0.688 0.915
0.203 0.256 0.931
0.314 0.955 0.407
0.380 0.457 0.408
0.483 0.758 0.928
0.520 0.181 0.420
0.680 0.493 0.001
0.698 0.929 0.986
0.811 0.239 0.512
0.867 0.724 0.511
0.986 0.428 0.987
0.012 0.142 0.284
0.173 0.546 0.634
0.309 0.087 0.132
0.377 0.584 0.132
0.512 0.049 0.641
0.666 0.637 0.291
0.803 0.102 0.784
0.875 0.596 0.780
0.025 0.283 0.715
0.043 0.868 0.718
0.139 0.817 0.198
0.161 0.401 0.203
0.243 0.220 0.533
0.297 0.962 0.849
0.387 0.460 0.850
0.444 0.722 0.531
0.525 0.901 0.202
0.545 0.316 0.200
0.638 0.367 0.714
0.661 0.785 0.715
0.741 0.965 0.385
0.798 0.224 0.067
0.887 0.724 0.067
0.941 0.467 0.384
0.005 0.865 0.588
0.006 0.428 0.689
0.015 0.455 0.254
0.028 0.279 0.847
0.028 0.567 0.477
0.055 0.721 0.746
0.130 0.966 0.173
0.157 0.118 0.441
0.158 0.407 0.070
0.172 0.230 0.663
0.178 0.820 0.328
0.180 0.255 0.228
0.191 0.938 0.735
0.227 0.065 0.955
0.230 0.728 0.102
0.254 0.366 0.512
0.266 0.530 0.803
0.267 0.506 0.272
0.302 0.660 0.542
0.314 0.824 0.883
0.362 0.325 0.882
0.383 0.155 0.542
0.419 0.005 0.269
0.420 0.021 0.799
0.434 0.874 0.519
0.447 0.232 0.107
0.459 0.566 0.955
0.491 0.436 0.735
0.507 0.756 0.229
0.508 0.318 0.329
0.517 0.725 0.660
0.520 0.625 0.432
0.527 0.905 0.070
0.560 0.466 0.175
0.628 0.216 0.739
0.653 0.782 0.848
0.656 0.066 0.476
0.672 0.957 0.253
0.676 0.365 0.587
0.677 0.930 0.688
0.691 0.245 0.180
0.730 0.453 0.813
0.737 0.115 0.961
0.749 0.817 0.403
0.762 0.660 0.112
0.773 0.688 0.654
0.806 0.535 0.370
0.816 0.362 0.035
0.869 0.863 0.034
0.882 0.028 0.377
0.920 0.178 0.646
0.923 0.164 0.116
0.930 0.320 0.403
0.952 0.959 0.813
0.956 0.620 0.960
0.991 0.748 0.182
```



Arrangement x

Entry from Materials Project: a relaxed structure of Li7Mn4P8O28 (PBE with a Hubbard U).

The structure in POSCAR format:
```
Li7Mn4P8O28
1.0
9.924 0.000 0.000
0.037 9.939 0.000
0.019 2.549 11.081
Li Mn P O
14 8 16 56
direct
0.000 0.000 0.000
0.012 0.982 0.504
0.027 0.417 0.518
0.143 0.719 0.992
0.202 0.219 0.991
0.316 0.916 0.517
0.333 0.481 0.503
0.346 0.500 0.000
0.500 0.161 0.090
0.534 0.744 0.573
0.643 0.442 0.098
0.701 0.942 0.096
0.812 0.243 0.573
0.845 0.661 0.090
0.001 0.128 0.220
0.135 0.588 0.720
0.210 0.088 0.719
0.344 0.627 0.221
0.504 0.037 0.862
0.639 0.571 0.374
0.706 0.070 0.373
0.840 0.537 0.862
0.072 0.453 0.118
0.128 0.711 0.437
0.216 0.210 0.437
0.274 0.953 0.117
0.355 0.771 0.789
0.374 0.356 0.786
0.470 0.303 0.305
0.490 0.888 0.301
0.571 0.708 0.971
0.628 0.448 0.655
0.716 0.948 0.655
0.773 0.208 0.972
0.854 0.388 0.301
0.874 0.804 0.304
0.971 0.856 0.786
0.990 0.271 0.789
0.002 0.442 0.248
0.009 0.856 0.916
0.010 0.415 0.815
0.022 0.734 0.324
0.063 0.944 0.690
0.068 0.602 0.543
0.083 0.306 0.098
0.092 0.150 0.388
0.095 0.165 0.857
0.134 0.017 0.126
0.146 0.849 0.469
0.197 0.349 0.469
0.211 0.518 0.126
0.250 0.665 0.857
0.253 0.650 0.388
0.264 0.806 0.098
0.277 0.102 0.543
0.281 0.444 0.690
0.323 0.233 0.324
0.334 0.915 0.815
0.336 0.356 0.916
0.343 0.943 0.248
0.358 0.766 0.657
0.359 0.055 0.026
0.381 0.206 0.765
0.459 0.451 0.332
0.486 0.606 0.063
0.486 0.892 0.432
0.502 0.310 0.172
0.502 0.716 0.841
0.511 0.743 0.274
0.521 0.422 0.768
0.556 0.552 0.549
0.568 0.216 0.393
0.580 0.856 0.990
0.595 0.994 0.233
0.596 0.010 0.707
0.634 0.143 0.964
0.652 0.313 0.621
0.693 0.813 0.621
0.711 0.644 0.964
0.748 0.510 0.707
0.750 0.494 0.232
0.763 0.355 0.990
0.777 0.718 0.393
0.788 0.052 0.549
0.824 0.922 0.768
0.835 0.243 0.275
0.843 0.216 0.841
0.843 0.810 0.172
0.858 0.393 0.432
0.859 0.107 0.064
0.885 0.953 0.331
0.965 0.705 0.765
0.986 0.555 0.026
0.987 0.265 0.657
```



Which one sits at the bottom of the stability order? arrangement x does.